Entry from Materials Project: a relaxed Ce3Pd4 crystal (PBE).

Properties
As for the formation energy from the elements: -0.7311 eV per atom. Its symmetry is No. 148.

Geometry as POSCAR:
```
Ce3Pd4
1.0
4.361 -6.778 0.000
4.361 6.778 0.000
-6.174 0.000 5.181
Ce Pd
6 8
Cartesian
2.408 -2.572 3.727
3.713 1.732 3.085
-0.285 0.840 5.052
0.141 2.572 1.454
-1.164 -1.732 2.096
2.833 -0.840 0.130
0.000 0.000 0.000
1.274 0.000 2.591
4.726 -1.111 2.318
1.258 3.342 4.023
-0.468 -2.231 4.872
-2.177 1.111 2.863
1.290 -3.342 1.158
3.017 2.231 0.309
```


Entry from Materials Project: a relaxed Ce3Pd5 crystal (PBE).

Properties
As for the formation energy from the elements: -0.7650 eV per atom. Its symmetry is No. 189.

Geometry as POSCAR:
```
Ce3Pd5
1.0
-0.108 4.793 -5.325
-5.917 -1.205 3.856
1.048 2.772 2.474
Ce Pd
3 5
Cartesian
0.455 4.475 -2.194
-3.289 0.610 3.722
-1.619 2.662 0.715
-0.025 1.107 -1.230
-1.367 -0.278 0.891
-4.633 2.759 -1.129
-3.981 0.794 0.796
-2.044 2.794 -2.264
```


Entry from Materials Project: a relaxed CePd crystal (PBE).

Properties
As for the formation energy from the elements: -0.6826 eV per atom. Its symmetry is No. 63.

Geometry as POSCAR:
```
CePd
1.0
1.915 -5.530 0.000
1.915 5.530 0.000
0.000 0.000 4.516
Ce Pd
2 2
Cartesian
1.915 -4.016 3.387
1.915 4.016 1.129
1.915 -0.990 3.387
1.915 0.990 1.129
```